This record from the Materials Project describes LaMnO3 after structural relaxation. The functional is GGA+U.

```
20
Lattice="5.5652 0.0000 0.0000 0.0000 8.0317 0.0000 0.0000 0.0000 5.5635" Properties=species:S:1:pos:R:3 pbc="T T T"
La 0.0362 2.0079 0.0144
La 2.7464 6.0238 2.7961
La 2.8188 2.0079 2.7674
La 5.5289 6.0238 5.5492
Mn 0.0000 0.0000 2.7818
Mn 0.0000 4.0159 2.7818
Mn 2.7826 0.0000 0.0000
Mn 2.7826 4.0159 0.0000
O 0.0246 6.0238 2.7893
O 1.0937 4.0216 4.4691
O 1.0937 8.0260 4.4691
O 1.6889 0.0057 1.6874
O 1.6889 4.0101 1.6874
O 2.7579 2.0079 0.0076
O 2.8072 6.0238 5.5560
O 3.8763 4.0216 3.8762
O 3.8763 8.0260 3.8762
O 4.4714 0.0057 1.0944
O 4.4714 4.0101 1.0944
O 5.5405 2.0079 2.7742
```

Properties
SG: Pnma
Crystal system: orthorhombic



This record from the Materials Project describes La17Mn18O54 after structural relaxation. The functional is GGA+U.

```
89
Lattice="9.6919 0.0000 0.0000 1.6035 9.5887 0.0000 3.3958 1.0593 11.8807" Properties=species:S:1:pos:R:3 pbc="T T T"
La 0.0000 0.0000 0.0000
La 1.5638 1.4274 3.3224
La 3.2080 2.7828 6.6580
La 4.9065 4.1517 9.9797
La 3.1933 4.5284 1.2862
La 4.7995 5.8177 4.6657
La 6.4883 7.2002 8.0960
La 6.3551 8.7670 2.5626
La 6.4337 0.5798 5.9906
La 8.0269 1.8749 9.3677
La 6.3836 2.2490 0.7000
La 8.0259 3.6242 4.0014
La 9.6614 4.9764 7.3250
La 11.2597 6.4069 10.6446
La 9.5878 6.6487 1.9922
La 11.2621 7.9900 5.3178
La 12.9038 9.3517 8.6282
Mn 3.2261 6.0666 7.6499
Mn 4.9043 7.4252 10.9454
Mn 3.1560 7.7288 2.3367
Mn 4.8162 9.0880 5.6586
Mn 4.8823 0.8622 8.9634
Mn 3.1227 1.1521 0.3765
Mn 4.7832 2.5143 3.6592
Mn 6.4470 3.8763 6.9689
Mn 8.1131 5.2491 10.2761
Mn 6.3640 5.5552 1.6927
Mn 8.0234 6.9012 5.0055
Mn 9.6778 8.2611 8.3184
Mn 11.3588 9.6114 11.5877
Mn 8.0044 0.3320 3.0054
Mn 9.6670 1.6927 6.3165
Mn 11.3278 3.0536 9.6228
Mn 9.5836 3.3551 1.0394
Mn 11.2611 4.7112 4.3337
O 2.0198 6.2775 3.2051
O 0.9873 4.8136 0.2437
O 4.1321 6.4115 9.3836
O 3.4443 2.2787 9.3416
O 2.0514 7.3321 0.7068
O 1.2750 2.0050 0.6209
O 5.3461 9.0005 9.7615
O 4.3762 7.5186 6.8506
O 4.0689 8.0774 4.1259
O 3.3977 3.9112 4.1053
O 4.6090 4.6678 7.2449
O 5.5148 10.1222 7.2052
O 4.1890 9.3355 1.6598
O 3.6598 1.0977 4.4904
O 5.7369 1.4190 10.6398
O 6.5733 6.4399 10.6410
O 3.8527 2.2436 1.9243
O 4.5828 6.2993 2.1293
O 5.9771 2.3130 8.0976
O 7.0339 3.7831 11.1152
O 5.7232 2.8429 5.3853
O 6.6387 8.2876 5.4001
O 7.1856 4.8797 8.5343
O 7.8781 9.1448 8.3662
O 6.9140 5.4330 5.8178
O 5.9191 3.9300 2.8544
O 5.6700 4.5043 0.1310
O 4.9949 0.3505 0.1401
O 7.0758 6.5376 3.2988
O 6.1556 1.0886 3.2103
O 9.2514 6.5430 9.3212
O 7.0597 7.0736 0.6514
O 8.9751 7.2457 6.7097
O 8.2775 3.0758 6.7016
O 9.4936 3.7752 9.8873
O 10.5965 9.3007 9.7877
O 10.1821 9.8305 7.1109
O 9.1491 8.3449 4.1689
O 8.1877 4.7084 1.4899
O 8.9201 8.9169 1.4336
O 8.7076 1.3562 4.5743
O 9.4239 5.5123 4.5987
O 8.4797 1.9143 1.8707
O 10.9321 1.5069 10.8027
O 10.6254 2.0283 8.0503
O 11.5186 7.4458 8.0193
O 12.0220 4.1280 11.1761
O 12.7603 8.2601 11.1431
O 11.7686 4.5967 8.4432
O 10.7974 3.1399 5.5001
O 10.5115 3.6867 2.7857
O 11.4184 9.1234 2.7957
O 12.6624 9.8900 5.9013
O 11.9970 5.7369 5.9000
```

Properties
SG: P1
Crystal system: triclinic



This record from the Materials Project describes LaMnO3 after structural relaxation. The functional is GGA+U.

```
20
Lattice="5.6744 0.0000 0.0000 0.0000 10.2979 0.0000 -1.9965 0.0000 5.7039" Properties=species:S:1:pos:R:3 pbc="T T T"
La 0.1575 1.7273 0.0108
La -0.8407 3.4216 2.8627
La 4.5187 6.8762 2.8412
La 3.5204 8.5706 5.6931
Mn -0.9982 0.0000 2.8519
Mn 0.0000 5.1489 0.0000
Mn 1.8390 0.0000 2.8519
Mn 2.8372 5.1489 0.0000
O 0.2472 5.2074 2.0091
O -0.7510 10.2393 4.8610
O -0.5871 6.4516 5.3301
O 0.4111 8.9952 2.4782
O 0.6306 1.4566 2.3955
O -0.3676 3.6923 5.2475
O 4.0455 6.6055 0.4564
O 3.0473 8.8413 3.3084
O 3.2668 1.3026 3.2257
O 4.2651 3.8463 0.3737
O 4.4290 0.0585 0.8428
O 3.4307 5.0904 3.6948
```

Properties
SG: P2_1/c
Crystal system: monoclinic



| no. | energy of formation from the pure elements (eV/atom) | total energy after the MP2020 corrections (eV per atom) | total energy (eV/atom) |
| --- | --- | --- | --- |
| 1 | -2.967 | -8.755 | -8.01 |
| 2 | -2.943 | -8.741 | -7.99 |
| 3 | -2.714 | -8.502 | -7.76 |